Record 1
! Sr3CaAg4 GGA-PBE optimized geometry; values from VASP
&SYSTEM
  ibrav = 0, nat = 24, ntyp = 3
/
ATOMIC_SPECIES
Sr 87.62 Sr.upf
Ca 40.08 Ca.upf
Ag 107.87 Ag.upf
CELL_PARAMETERS angstrom
6.296 0.000 0.000
0.000 4.917 0.000
-0.002 0.000 24.122
ATOMIC_POSITIONS crystal
Sr 0.000 0.000 0.000
Sr 0.001 0.000 0.662
Sr 0.235 0.000 0.498
Sr 0.263 0.500 0.879
Sr 0.472 0.000 0.330
Sr 0.496 0.500 0.710
Sr 0.734 0.500 0.209
Sr 0.762 0.000 0.831
Sr 0.972 0.500 0.378
Ca 0.226 0.000 0.163
Ca 0.508 0.500 0.046
Ca 0.725 0.500 0.544
Ag 0.001 0.500 0.094
Ag 0.006 0.500 0.759
Ag 0.227 0.500 0.256
Ag 0.242 0.500 0.590
Ag 0.254 0.000 0.783
Ag 0.485 0.500 0.428
Ag 0.501 0.000 0.613
Ag 0.507 0.000 0.953
Ag 0.728 0.000 0.453
Ag 0.733 0.000 0.115
Ag 0.750 0.500 0.928
Ag 0.984 0.000 0.280
! space group	Pm

Record 2
! CaZnAg GGA-PBE optimized geometry; values from VASP
&SYSTEM
  ibrav = 0, nat = 12, ntyp = 3
/
ATOMIC_SPECIES
Ca 40.08 Ca.upf
Zn 65.41 Zn.upf
Ag 107.87 Ag.upf
CELL_PARAMETERS angstrom
10.709 0.000 0.000
0.000 4.660 0.000
-4.947 0.000 5.442
ATOMIC_POSITIONS crystal
Ca 0.048 0.000 0.300
Ca 0.452 0.500 0.700
Ca 0.548 0.500 0.300
Ca 0.952 0.000 0.700
Zn 0.159 0.500 0.105
Zn 0.341 0.000 0.895
Zn 0.659 0.000 0.105
Zn 0.841 0.500 0.895
Ag 0.170 0.500 0.731
Ag 0.330 0.000 0.269
Ag 0.670 0.000 0.731
Ag 0.830 0.500 0.269
! space group	C2/m

Number 1: ΔH_f (0 K) -2.49 eV/f.u.. Number 2: ΔH_f (0 K) -0.95 eV/f.u..